Entry 1:
Crystalline NaYSi2O6 at its relaxed geometry, computed with PBE-GGA.

a = 13.859 Å, b = 5.481 Å, c = 7.694 Å
α = 70.03°, β = 90.00°, γ = 90.00°
Fractional positions:
Na  0.231  0.863  0.546
Na  0.731  0.137  0.954
Na  0.769  0.137  0.454
Na  0.269  0.863  0.046
Y  0.994  0.983  0.752
Y  0.006  0.017  0.248
Y  0.494  0.017  0.748
Y  0.506  0.983  0.252
Si  0.640  0.571  0.144
Si  0.138  0.418  0.933
Si  0.362  0.418  0.433
Si  0.862  0.582  0.067
Si  0.638  0.582  0.567
Si  0.860  0.571  0.644
Si  0.360  0.429  0.856
Si  0.140  0.429  0.356
O  0.749  0.684  0.580
O  0.878  0.619  0.845
O  0.134  0.733  0.329
O  0.751  0.684  0.080
O  0.375  0.716  0.304
O  0.866  0.267  0.671
O  0.437  0.200  0.418
O  0.566  0.788  0.016
O  0.625  0.284  0.696
O  0.366  0.733  0.829
O  0.122  0.381  0.155
O  0.434  0.212  0.984
O  0.937  0.800  0.082
O  0.249  0.316  0.920
O  0.125  0.716  0.804
O  0.934  0.788  0.516
O  0.563  0.800  0.582
O  0.378  0.381  0.655
O  0.251  0.316  0.420
O  0.875  0.284  0.196
O  0.622  0.619  0.345
O  0.634  0.267  0.171
O  0.066  0.212  0.484
O  0.063  0.200  0.918

Output
Magnetic moment ... 0.00 μB/f.u.
Energy relative to the lowest polymorph listed for this composition ... 0 meV per atom
Space-group type ... P2_1/c
Energy of formation ... -3.327 eV/atom

***

Entry 2:
Crystalline Na3YSi6O15 at its relaxed geometry, computed with PBE-GGA.

a = 11.666 Å, b = 11.666 Å, c = 10.626 Å
α = 90.00°, β = 90.00°, γ = 100.63°
Fractional positions:
Na  0.971  0.529  0.750
Na  0.529  0.971  0.250
Na  0.029  0.471  0.250
Na  0.471  0.029  0.750
Na  0.239  0.239  0.000
Na  0.261  0.261  0.500
Na  0.761  0.761  0.000
Na  0.739  0.739  0.500
Na  0.928  0.072  0.750
Na  0.572  0.428  0.250
Na  0.072  0.928  0.250
Na  0.428  0.572  0.750
Y  0.841  0.659  0.250
Y  0.659  0.841  0.750
Y  0.159  0.341  0.750
Y  0.341  0.159  0.250
Si  0.471  0.740  0.020
Si  0.029  0.760  0.520
Si  0.740  0.471  0.980
Si  0.760  0.029  0.480
Si  0.529  0.260  0.980
Si  0.971  0.240  0.480
Si  0.260  0.529  0.020
Si  0.240  0.971  0.520
Si  0.415  0.795  0.535
Si  0.085  0.705  0.035
Si  0.795  0.415  0.465
Si  0.705  0.085  0.965
Si  0.585  0.205  0.465
Si  0.915  0.295  0.965
Si  0.205  0.585  0.535
Si  0.295  0.915  0.035
Si  0.528  0.690  0.300
Si  0.972  0.810  0.800
Si  0.690  0.528  0.700
Si  0.810  0.972  0.200
Si  0.472  0.310  0.700
Si  0.028  0.190  0.200
Si  0.310  0.472  0.300
Si  0.190  0.028  0.800
O  0.343  0.988  0.157
O  0.157  0.512  0.657
O  0.988  0.343  0.843
O  0.512  0.157  0.343
O  0.657  0.012  0.843
O  0.843  0.488  0.343
O  0.012  0.657  0.157
O  0.488  0.843  0.657
O  0.513  0.763  0.169
O  0.987  0.737  0.669
O  0.763  0.513  0.831
O  0.737  0.987  0.331
O  0.487  0.237  0.831
O  0.013  0.263  0.331
O  0.237  0.487  0.169
O  0.263  0.013  0.669
O  0.333  0.885  0.486
O  0.167  0.615  0.986
O  0.885  0.333  0.514
O  0.615  0.167  0.014
O  0.667  0.115  0.514
O  0.833  0.385  0.014
O  0.115  0.667  0.486
O  0.385  0.833  0.986
O  0.666  0.334  0.432
O  0.252  0.078  0.425
O  0.078  0.252  0.575
O  0.422  0.248  0.075
O  0.748  0.922  0.575
O  0.752  0.578  0.075
O  0.922  0.748  0.425
O  0.578  0.752  0.925
O  0.343  0.346  0.319
O  0.157  0.154  0.819
O  0.346  0.343  0.681
O  0.154  0.157  0.181
O  0.657  0.654  0.681
O  0.843  0.846  0.181
O  0.654  0.657  0.319
O  0.846  0.843  0.819
O  0.068  0.932  0.799
O  0.432  0.568  0.299
O  0.932  0.068  0.201
O  0.568  0.432  0.701
O  0.107  0.893  0.506
O  0.393  0.607  0.006
O  0.893  0.107  0.494
O  0.607  0.393  0.994
O  0.502  0.222  0.587
O  0.998  0.278  0.087
O  0.222  0.502  0.413
O  0.278  0.998  0.913
O  0.498  0.778  0.413
O  0.002  0.722  0.913
O  0.778  0.498  0.587
O  0.722  0.002  0.087
O  0.166  0.834  0.068
O  0.334  0.666  0.568
O  0.834  0.166  0.932
O  0.248  0.422  0.925

Output
Magnetic moment ... 0.00 μB/f.u.
Energy relative to the lowest polymorph listed for this composition ... 8 meV per atom
Space-group type ... Cmce
Energy of formation ... -3.162 eV/atom

***

Entry 3:
Crystalline NaYSi2O6 at its relaxed geometry, computed with PBE-GGA.

a = 6.704 Å, b = 6.704 Å, c = 17.855 Å
α = 83.29°, β = 83.29°, γ = 103.49°
Fractional positions:
Na  0.876  0.124  0.250
Na  0.124  0.876  0.750
Na  0.005  0.638  0.583
Na  0.995  0.362  0.417
Na  0.638  0.005  0.083
Na  0.362  0.995  0.917
Y  0.608  0.392  0.750
Y  0.639  0.735  0.427
Y  0.361  0.265  0.573
Y  0.735  0.639  0.927
Y  0.265  0.361  0.073
Y  0.392  0.608  0.250
Si  0.466  0.809  0.602
Si  0.646  0.886  0.743
Si  0.886  0.646  0.243
Si  0.167  0.821  0.101
Si  0.534  0.191  0.398
Si  0.354  0.114  0.257
Si  0.179  0.833  0.399
Si  0.809  0.466  0.102
Si  0.833  0.179  0.899
Si  0.191  0.534  0.898
Si  0.114  0.354  0.757
Si  0.821  0.167  0.601
O  0.291  0.282  0.198
O  0.709  0.718  0.802
O  0.628  0.435  0.048
O  0.041  0.276  0.549
O  0.282  0.291  0.698
O  0.675  0.992  0.557
O  0.008  0.325  0.943
O  0.329  0.681  0.122
O  0.275  0.915  0.616
O  0.319  0.671  0.378
O  0.490  0.967  0.223
O  0.967  0.490  0.723
O  0.725  0.085  0.384
O  0.959  0.724  0.451
O  0.681  0.329  0.622
O  0.085  0.725  0.884
O  0.565  0.372  0.452
O  0.325  0.008  0.443
O  0.852  0.029  0.681
O  0.276  0.041  0.049
O  0.435  0.628  0.548
O  0.275  0.470  0.815
O  0.671  0.319  0.878
O  0.915  0.275  0.116
O  0.530  0.725  0.685
O  0.470  0.275  0.315
O  0.992  0.675  0.057
O  0.372  0.565  0.952
O  0.724  0.959  0.951
O  0.033  0.510  0.277
O  0.971  0.148  0.819
O  0.725  0.530  0.185
O  0.029  0.852  0.181
O  0.148  0.971  0.319
O  0.718  0.709  0.302
O  0.510  0.033  0.777

Output
Magnetic moment ... 0.00 μB/f.u.
Energy relative to the lowest polymorph listed for this composition ... 9 meV per atom
Space-group type ... C2/c
Energy of formation ... -3.319 eV/atom

***

Entry 4:
Crystalline Na3YSi2O7 at its relaxed geometry, computed with PBE-GGA.

a = 9.511 Å, b = 9.511 Å, c = 13.937 Å
α = 90.00°, β = 90.00°, γ = 120.00°
Fractional positions:
Na  0.333  0.667  0.250
Na  0.667  0.333  0.750
Na  0.000  0.000  0.000
Na  0.000  0.000  0.500
Na  0.333  0.667  0.770
Na  0.667  0.333  0.270
Na  0.015  0.685  0.088
Na  0.315  0.330  0.088
Na  0.670  0.985  0.088
Na  0.985  0.315  0.588
Na  0.685  0.670  0.588
Na  0.330  0.015  0.588
Na  0.984  0.314  0.913
Na  0.686  0.670  0.913
Na  0.330  0.016  0.913
Na  0.016  0.686  0.413
Na  0.314  0.330  0.413
Na  0.670  0.984  0.413
Y  0.667  0.333  0.520
Y  0.333  0.667  0.020
Y  0.333  0.667  0.482
Y  0.667  0.333  0.982
Y  0.000  0.000  0.750
Y  0.000  0.000  0.250
Si  0.019  0.672  0.641
Si  0.328  0.347  0.641
Si  0.653  0.981  0.641
Si  0.981  0.328  0.141
Si  0.672  0.653  0.141
Si  0.347  0.019  0.141
Si  0.982  0.328  0.359
Si  0.672  0.654  0.359
Si  0.346  0.018  0.359
Si  0.018  0.672  0.859
Si  0.328  0.346  0.859
Si  0.654  0.982  0.859
O  0.515  0.391  0.621
O  0.609  0.124  0.621
O  0.876  0.485  0.621
O  0.485  0.609  0.121
O  0.391  0.876  0.121
O  0.124  0.515  0.121
O  0.485  0.608  0.379
O  0.392  0.877  0.379
O  0.123  0.515  0.379
O  0.515  0.392  0.879
O  0.608  0.123  0.879
O  0.877  0.485  0.879
O  0.172  0.731  0.933
O  0.269  0.441  0.933
O  0.559  0.828  0.933
O  0.828  0.269  0.433
O  0.731  0.559  0.433
O  0.441  0.172  0.433
O  0.829  0.269  0.066
O  0.731  0.560  0.066
O  0.440  0.171  0.066
O  0.171  0.731  0.566
O  0.269  0.440  0.566
O  0.560  0.829  0.566
O  0.952  0.801  0.861
O  0.199  0.151  0.861
O  0.849  0.048  0.861
O  0.048  0.199  0.361
O  0.801  0.849  0.361
O  0.151  0.952  0.361
O  0.048  0.199  0.139
O  0.801  0.849  0.139
O  0.151  0.952  0.139
O  0.952  0.801  0.639
O  0.199  0.151  0.639
O  0.849  0.048  0.639
O  0.099  0.681  0.750
O  0.319  0.418  0.750
O  0.582  0.901  0.750
O  0.901  0.319  0.250
O  0.681  0.582  0.250
O  0.418  0.099  0.250

Output
Magnetic moment ... 0.00 μB/f.u.
Space-group type ... P6_3
Energy of formation ... -3.046 eV/atom

***

Q: What is the energy of formation in the third record?
A: -3.319 eV/atom

***

Q: Look up the energy of formation of the first one.
A: -3.327 eV/atom